VASP calculation (PBE) on K3AsF6 after structural relaxation.

Cell: 6.7836 8.4421 6.7724 Å, 128.19 76.88 111.45°
With the nearest neighbours (Å) after each atom.
Element x y z (fractional)
K 0.5000 0.0000 0.0000  6 F 2.69-2.85
K 0.0000 0.5000 0.5000  6 F 2.69-2.92
K 0.0000 0.0000 0.5000  6 F 2.67-2.85
As 0.0000 0.0000 0.0000  6 F 2.08
F 0.7752 0.0576 0.2839  1 As 2.08
F 0.2248 0.9424 0.7161  1 As 2.08
F 0.7778 0.7779 0.7116  1 As 2.08
F 0.2222 0.2221 0.2884  1 As 2.08
F 0.0663 0.7772 0.9982  1 As 2.08
F 0.9337 0.2228 0.0018  1 As 2.08

Computed properties:
Energy relative to the elements, eV per atom: -2.729